1.
Entry from Materials Project: crystalline LiTe3 at its relaxed geometry (r2SCAN).

a b c (Å): 8.7769 8.7769 21.4611
angles (deg): 90.00 90.00 120.00
Space group P3 (No. 143)
One atom of each set of equivalent atoms:
Li: 0.0000 0.0000 0.0000 (multiplicity 1)
Li: 0.0000 0.0000 0.2441 (multiplicity 1)
Li: 0.0000 0.0000 0.4995 (multiplicity 1)
Li: 0.0000 0.0000 0.7442 (multiplicity 1)
Li: 0.3333 0.6667 0.1599 (multiplicity 1)
Li: 0.3333 0.6667 0.4157 (multiplicity 1)
Li: 0.3333 0.6667 0.6598 (multiplicity 1)
Li: 0.3333 0.6667 0.9157 (multiplicity 1)
Li: 0.6667 0.3333 0.0799 (multiplicity 1)
Li: 0.6667 0.3333 0.3295 (multiplicity 1)
Li: 0.6667 0.3333 0.5799 (multiplicity 1)
Li: 0.6667 0.3333 0.8303 (multiplicity 1)
Te: 0.0037 0.4921 0.4975 (multiplicity 3)
Te: 0.0037 0.5115 0.9976 (multiplicity 3)
Te: 0.1417 0.3333 0.3297 (multiplicity 3)
Te: 0.1418 0.8085 0.8301 (multiplicity 3)
Te: 0.1666 0.3333 0.0801 (multiplicity 3)
Te: 0.1667 0.3333 0.5797 (multiplicity 3)
Te: 0.3295 0.1553 0.1622 (multiplicity 3)
Te: 0.3298 0.1746 0.6624 (multiplicity 3)
Te: 0.3369 0.1479 0.4141 (multiplicity 3)
Te: 0.3370 0.1891 0.9145 (multiplicity 3)
Te: 0.4813 0.0036 0.2454 (multiplicity 3)
Te: 0.4809 0.4774 0.7454 (multiplicity 3)

Properties
total moment: 0.000 μB per atom
energy: -965.26 eV/cell
volume: 1432 Å³ per cell
energy of formation from the pure elements: -0.45 eV/atom

***

2.
Entry from Materials Project: crystalline Li2Te at its relaxed geometry (r2SCAN).

a b c (Å): 6.514 6.514 6.514
angles (deg): 90.00 90.00 90.00
Space group Fm-3m (No. 225)
One atom of each set of equivalent atoms:
Li: 0.250 0.250 0.250 (multiplicity 8)
Te: 0.000 0.000 0.000 (multiplicity 4)

Properties
total moment: 0.000 μB per atom
energy: -135.32 eV/cell
volume: 276 Å³ per cell
energy of formation from the pure elements: -1.21 eV/atom

***

3.
Entry from Materials Project: crystalline LiTl at its relaxed geometry (r2SCAN).

a b c (Å): 3.440 3.440 3.440
angles (deg): 90.00 90.00 90.00
Space group Pm-3m (No. 221)
One atom of each set of equivalent atoms:
Li: 0.000 0.000 0.000 (multiplicity 1)
Tl: 0.500 0.500 0.500 (multiplicity 1)

Properties
total moment: 0.000 μB per atom
energy: -56.08 eV/cell
volume: 41 Å³ per cell
energy of formation from the pure elements: -0.26 eV/atom

***

4.
Entry from Materials Project: crystalline Li2Tl at its relaxed geometry (r2SCAN).

a b c (Å): 4.700 10.120 4.747
angles (deg): 90.00 90.00 90.00
Space group Cmcm (No. 63)
One atom of each set of equivalent atoms:
Li: 0.000 0.083 0.250 (multiplicity 4)
Li: 0.000 0.258 0.750 (multiplicity 4)
Tl: 0.000 0.404 0.250 (multiplicity 4)

Properties
total moment: 0.000 μB per atom
energy: -235.28 eV/cell
volume: 226 Å³ per cell
energy of formation from the pure elements: -0.29 eV/atom

***

5.
Entry from Materials Project: crystalline LiTmTl2 at its relaxed geometry (r2SCAN).

a b c (Å): 7.218 7.218 7.218
angles (deg): 90.00 90.00 90.00
Space group Fm-3m (No. 225)
One atom of each set of equivalent atoms:
Li: 0.000 0.000 0.000 (multiplicity 4)
Tm: 0.000 0.000 0.500 (multiplicity 4)
Tl: 0.250 0.250 0.250 (multiplicity 8)

Properties
total moment: 0.000 μB per atom
energy: -581.41 eV/cell
volume: 376 Å³ per cell
energy of formation from the pure elements: -0.37 eV/atom

***

6.
Entry from Materials Project: crystalline Li2YTl at its relaxed geometry (r2SCAN).

a b c (Å): 6.806 6.806 6.806
angles (deg): 90.00 90.00 90.00
Space group Fm-3m (No. 225)
One atom of each set of equivalent atoms:
Li: 0.250 0.250 0.250 (multiplicity 8)
Y: 0.000 0.000 0.000 (multiplicity 4)
Tl: 0.000 0.000 0.500 (multiplicity 4)

Properties
total moment: 0.000 μB per atom
energy: -318.25 eV/cell
volume: 315 Å³ per cell
energy of formation from the pure elements: -0.32 eV/atom